w.
{
  "formula": "Li2HN",
  "functional": "PBE",
  "state": "optimized geometry",
  "lattice_angstrom": [[-1.773, 2.707, 1.728], [1.773, -2.707, 1.728], [1.773, 2.707, -1.728]],
  "species": ["Li", "Li", "H", "N"],
  "frac_coords": [[0.216, 0.000, 0.216], [0.784, 0.000, 0.784], [0.215, 0.715, 0.500], [0.916, 0.416, 0.500]],
  "e_ij_max_c_m2": 0.517,
  "total_magnetization_mub_per_fu": 0.000,
  "sg": "Imm2, No. 44"
}


x.
{
  "formula": "Li2HN",
  "functional": "PBE",
  "state": "optimized geometry",
  "lattice_angstrom": [[-3.550, 3.565, 5.044], [3.550, -3.565, 5.044], [3.550, 3.565, -5.044]],
  "species": ["Li", "Li", "Li", "Li", "Li", "Li", "Li", "Li", "Li", "Li", "Li", "Li", "Li", "Li", "Li", "Li", "H", "H", "H", "H", "H", "H", "H", "H", "N", "N", "N", "N", "N", "N", "N", "N"],
  "frac_coords": [[0.108, 0.349, 0.226], [0.108, 0.882, 0.759], [0.126, 0.876, 0.250], [0.356, 0.106, 0.250], [0.367, 0.617, 0.750], [0.377, 0.118, 0.726], [0.377, 0.651, 0.259], [0.500, 0.000, 0.000], [0.500, 0.500, 0.500], [0.623, 0.349, 0.741], [0.623, 0.882, 0.274], [0.633, 0.383, 0.250], [0.644, 0.894, 0.750], [0.874, 0.124, 0.750], [0.892, 0.118, 0.241], [0.892, 0.651, 0.774], [0.113, 0.695, 0.418], [0.199, 0.309, 0.609], [0.199, 0.590, 0.891], [0.224, 0.305, 0.918], [0.776, 0.695, 0.082], [0.801, 0.410, 0.109], [0.801, 0.691, 0.391], [0.887, 0.305, 0.582], [0.259, 0.249, 0.490], [0.259, 0.769, 0.010], [0.271, 0.241, 0.031], [0.290, 0.759, 0.531], [0.710, 0.241, 0.469], [0.729, 0.759, 0.969], [0.741, 0.231, 0.990], [0.741, 0.751, 0.510]],
  "total_magnetization_mub_per_fu": 0.000,
  "sg": "Imma, No. 74"
}


y.
{
  "formula": "Li2HN",
  "functional": "PBE",
  "state": "optimized geometry",
  "lattice_angstrom": [[1.802, 1.040, 3.032], [-1.802, 1.040, 3.032], [0.000, -2.080, 3.032]],
  "species": ["Li", "Li", "H", "N"],
  "frac_coords": [[0.000, 0.000, 0.000], [0.465, 0.465, 0.465], [0.806, 0.806, 0.806], [0.693, 0.693, 0.693]],
  "e_ij_max_c_m2": 1.167,
  "total_magnetization_mub_per_fu": 0.000,
  "sg": "R3m, No. 160"
}


z.
{
  "formula": "Li2HN",
  "functional": "PBE",
  "state": "optimized geometry",
  "lattice_angstrom": [[4.910, 0.000, 0.000], [0.000, 4.910, 0.000], [0.000, 0.000, 5.350]],
  "species": ["Li", "Li", "Li", "Li", "Li", "Li", "Li", "Li", "H", "H", "H", "H", "N", "N", "N", "N"],
  "frac_coords": [[0.000, 0.000, 0.000], [0.000, 0.000, 0.500], [0.000, 0.500, 0.037], [0.000, 0.500, 0.462], [0.500, 0.000, 0.537], [0.500, 0.000, 0.962], [0.500, 0.500, 0.493], [0.500, 0.500, 0.993], [0.039, 0.728, 0.748], [0.272, 0.039, 0.248], [0.728, 0.961, 0.248], [0.961, 0.272, 0.748], [0.245, 0.250, 0.249], [0.250, 0.755, 0.749], [0.750, 0.245, 0.749], [0.755, 0.750, 0.249]],
  "total_magnetization_mub_per_fu": 0.000,
  "sg": "P4_2, No. 77"
}


Relative energies with respect to the most stable structure, expressed in eV/atom: w 0.056; x 0.000; y 0.077; z 0.023.